1.
# AsPbF7 PBE-GGA relaxed
data_AsPbF7
_cell_length_a 4.772
_cell_length_b 7.416
_cell_length_c 7.676
_cell_angle_alpha 105.67
_cell_angle_beta 101.07
_cell_angle_gamma 90.88
_symmetry_space_group_name_H-M 'P 1'
_symmetry_Int_Tables_number 1
loop_
_symmetry_equiv_pos_as_xyz
'x,y,z'
loop_
_atom_site_label
_atom_site_fract_x
_atom_site_fract_y
_atom_site_fract_z
As1 0.648 0.811 0.711
As2 0.352 0.189 0.289
Pb1 0.182 0.350 0.805
Pb2 0.818 0.650 0.195
F1 0.139 0.185 0.069
F2 0.436 0.795 0.490
F3 0.564 0.205 0.510
F4 0.506 0.023 0.811
F5 0.494 0.977 0.189
F6 0.372 0.680 0.761
F7 0.861 0.815 0.931
F8 0.278 0.578 0.085
F9 0.077 0.060 0.337
F10 0.203 0.402 0.389
F11 0.722 0.422 0.915
F12 0.797 0.598 0.611
F13 0.628 0.320 0.239
F14 0.923 0.940 0.663
# SG	P-1 (2)
# electronic total energy	-4.619	eV per atom
# formation energy from the elements	-23.03	eV/f.u.

2.
# As2PbXe3F18 PBE-GGA relaxed
data_As2PbXe3F18
_cell_length_a 8.910
_cell_length_b 8.910
_cell_length_c 11.339
_cell_angle_alpha 83.91
_cell_angle_beta 83.91
_cell_angle_gamma 90.30
_symmetry_space_group_name_H-M 'P 1'
_symmetry_Int_Tables_number 1
loop_
_symmetry_equiv_pos_as_xyz
'x,y,z'
loop_
_atom_site_label
_atom_site_fract_x
_atom_site_fract_y
_atom_site_fract_z
As1 0.200 0.200 0.398
As2 0.500 0.000 0.000
As3 0.800 0.800 0.602
As4 0.000 0.500 0.000
Pb1 0.286 0.286 0.721
Pb2 0.714 0.714 0.279
Xe1 0.205 0.683 0.336
Xe2 0.000 0.000 0.000
Xe3 0.795 0.317 0.664
Xe4 0.317 0.795 0.664
Xe5 0.683 0.205 0.336
Xe6 0.500 0.500 0.000
F1 0.569 0.282 0.637
F2 0.032 0.642 0.879
F3 0.095 0.095 0.312
F4 0.691 0.691 0.510
F5 0.968 0.358 0.121
F6 0.300 0.300 0.271
F7 0.061 0.341 0.402
F8 0.309 0.309 0.490
F9 0.642 0.032 0.879
F10 0.700 0.700 0.729
F11 0.862 0.413 0.927
F12 0.413 0.862 0.927
F13 0.587 0.138 0.073
F14 0.910 0.910 0.170
F15 0.431 0.718 0.363
F16 0.856 0.613 0.070
F17 0.905 0.905 0.688
F18 0.613 0.856 0.070
F19 0.890 0.890 0.465
F20 0.282 0.569 0.637
F21 0.356 0.021 0.686
F22 0.939 0.659 0.598
F23 0.138 0.587 0.073
F24 0.461 0.461 0.827
F25 0.358 0.968 0.121
F26 0.718 0.431 0.363
F27 0.659 0.939 0.598
F28 0.387 0.144 0.930
F29 0.110 0.110 0.535
F30 0.090 0.090 0.830
F31 0.644 0.979 0.314
F32 0.144 0.387 0.930
F33 0.979 0.644 0.314
F34 0.539 0.539 0.173
F35 0.341 0.061 0.402
F36 0.021 0.356 0.686
# SG	C2/m (12)
# electronic total energy	-3.530	eV per atom
# formation energy from the elements	-45.44	eV/f.u.

3.
# RbAsF6 PBE-GGA relaxed
data_RbAsF6
_cell_length_a 5.155
_cell_length_b 5.155
_cell_length_c 5.155
_cell_angle_alpha 97.21
_cell_angle_beta 97.21
_cell_angle_gamma 97.21
_symmetry_space_group_name_H-M 'P 1'
_symmetry_Int_Tables_number 1
loop_
_symmetry_equiv_pos_as_xyz
'x,y,z'
loop_
_atom_site_label
_atom_site_fract_x
_atom_site_fract_y
_atom_site_fract_z
Rb1 0.500 0.500 0.500
As1 0.000 0.000 0.000
F1 0.269 0.212 0.922
F2 0.922 0.269 0.212
F3 0.788 0.078 0.731
F4 0.078 0.731 0.788
F5 0.731 0.788 0.078
F6 0.212 0.922 0.269
# SG	R-3 (148)
# electronic total energy	-4.549	eV per atom
# formation energy from the elements	-22.04	eV/f.u.

4.
# AsS4F6 PBE-GGA relaxed
data_AsS4F6
_cell_length_a 13.695
_cell_length_b 15.467
_cell_length_c 16.655
_cell_angle_alpha 72.08
_cell_angle_beta 90.00
_cell_angle_gamma 90.00
_symmetry_space_group_name_H-M 'P 1'
_symmetry_Int_Tables_number 1
loop_
_symmetry_equiv_pos_as_xyz
'x,y,z'
loop_
_atom_site_label
_atom_site_fract_x
_atom_site_fract_y
_atom_site_fract_z
As1 0.034 0.311 0.413
As2 0.534 0.689 0.087
As3 0.966 0.689 0.587
As4 0.466 0.311 0.913
As5 0.037 0.996 0.747
As6 0.537 0.004 0.753
As7 0.963 0.004 0.253
As8 0.463 0.996 0.247
As9 0.055 0.264 0.933
As10 0.555 0.736 0.567
As11 0.945 0.736 0.067
As12 0.445 0.264 0.433
As13 0.229 0.627 0.365
As14 0.729 0.373 0.135
As15 0.771 0.373 0.635
As16 0.271 0.627 0.865
S1 0.177 0.832 0.637
S2 0.677 0.168 0.863
S3 0.823 0.168 0.363
S4 0.323 0.832 0.137
S5 0.302 0.883 0.674
S6 0.802 0.117 0.826
S7 0.698 0.117 0.326
S8 0.198 0.883 0.174
S9 0.344 0.983 0.567
S10 0.844 0.017 0.933
S11 0.656 0.017 0.433
S12 0.156 0.983 0.067
S13 0.219 0.055 0.523
S14 0.719 0.945 0.977
S15 0.781 0.945 0.477
S16 0.281 0.055 0.023
S17 0.227 0.056 0.400
S18 0.727 0.944 0.100
S19 0.773 0.944 0.600
S20 0.273 0.056 0.900
S21 0.175 0.926 0.421
S22 0.675 0.074 0.079
S23 0.825 0.074 0.579
S24 0.325 0.926 0.921
S25 0.301 0.856 0.466
S26 0.801 0.144 0.034
S27 0.699 0.144 0.534
S28 0.199 0.856 0.966
S29 0.260 0.761 0.576
S30 0.760 0.239 0.924
S31 0.740 0.239 0.424
S32 0.240 0.761 0.076
S33 0.136 0.457 0.068
S34 0.636 0.543 0.432
S35 0.864 0.543 0.932
S36 0.364 0.457 0.568
S37 0.068 0.347 0.153
S38 0.568 0.653 0.347
S39 0.932 0.653 0.847
S40 0.432 0.347 0.653
S41 0.185 0.273 0.214
S42 0.685 0.727 0.286
S43 0.815 0.727 0.786
S44 0.315 0.273 0.714
S45 0.277 0.267 0.118
S46 0.777 0.733 0.382
S47 0.723 0.733 0.882
S48 0.223 0.267 0.618
S49 0.405 0.295 0.168
S50 0.905 0.705 0.332
S51 0.595 0.705 0.832
S52 0.095 0.295 0.668
S53 0.380 0.434 0.128
S54 0.880 0.566 0.372
S55 0.620 0.566 0.872
S56 0.120 0.434 0.628
S57 0.285 0.440 0.221
S58 0.785 0.560 0.279
S59 0.715 0.560 0.779
S60 0.215 0.440 0.721
S61 0.170 0.517 0.158
S62 0.670 0.483 0.342
S63 0.830 0.483 0.842
S64 0.330 0.517 0.658
F1 0.038 0.390 0.470
F2 0.538 0.610 0.030
F3 0.962 0.610 0.530
F4 0.462 0.390 0.970
F5 0.134 0.250 0.473
F6 0.634 0.750 0.027
F7 0.866 0.750 0.527
F8 0.366 0.250 0.973
F9 0.116 0.379 0.337
F10 0.616 0.621 0.163
F11 0.884 0.621 0.663
F12 0.384 0.379 0.837
F13 0.953 0.240 0.488
F14 0.453 0.760 0.012
F15 0.047 0.760 0.512
F16 0.547 0.240 0.988
F17 0.933 0.369 0.354
F18 0.433 0.631 0.146
F19 0.067 0.631 0.646
F20 0.567 0.369 0.854
F21 0.032 0.232 0.355
F22 0.532 0.768 0.145
F23 0.968 0.768 0.645
F24 0.468 0.232 0.855
F25 0.053 0.990 0.854
F26 0.553 0.010 0.646
F27 0.947 0.010 0.146
F28 0.447 0.990 0.354
F29 0.158 0.040 0.724
F30 0.658 0.960 0.776
F31 0.842 0.960 0.276
F32 0.342 0.040 0.224
F33 0.917 0.952 0.769
F34 0.417 0.048 0.731
F35 0.083 0.048 0.231
F36 0.583 0.952 0.269
F37 0.085 0.884 0.770
F38 0.585 0.116 0.730
F39 0.915 0.116 0.230
F40 0.415 0.884 0.270
F41 0.991 0.108 0.724
F42 0.491 0.892 0.776
F43 0.009 0.892 0.276
F44 0.509 0.108 0.224
F45 0.022 0.001 0.639
F46 0.522 0.999 0.861
F47 0.978 0.999 0.361
F48 0.478 0.001 0.139
F49 0.002 0.159 0.932
F50 0.502 0.841 0.568
F51 0.998 0.841 0.068
F52 0.498 0.159 0.432
F53 0.160 0.240 0.880
F54 0.660 0.760 0.620
F55 0.840 0.760 0.120
F56 0.340 0.240 0.380
F57 0.109 0.207 0.032
F58 0.609 0.793 0.468
F59 0.891 0.793 0.968
F60 0.391 0.207 0.532
F61 0.001 0.321 0.834
F62 0.501 0.679 0.666
F63 0.999 0.679 0.166
F64 0.499 0.321 0.334
F65 0.950 0.288 0.985
F66 0.450 0.712 0.515
F67 0.050 0.712 0.015
F68 0.550 0.288 0.485
F69 0.108 0.368 0.936
F70 0.608 0.632 0.564
F71 0.892 0.632 0.064
F72 0.392 0.368 0.436
F73 0.211 0.747 0.339
F74 0.711 0.253 0.161
F75 0.789 0.253 0.661
F76 0.289 0.747 0.839
F77 0.101 0.612 0.369
F78 0.601 0.388 0.131
F79 0.899 0.388 0.631
F80 0.399 0.612 0.869
F81 0.226 0.637 0.255
F82 0.726 0.363 0.245
F83 0.774 0.363 0.745
F84 0.274 0.637 0.755
F85 0.232 0.618 0.474
F86 0.732 0.382 0.026
F87 0.768 0.382 0.526
F88 0.268 0.618 0.974
F89 0.357 0.645 0.359
F90 0.857 0.355 0.141
F91 0.643 0.355 0.641
F92 0.143 0.645 0.859
F93 0.247 0.509 0.389
F94 0.747 0.491 0.111
F95 0.753 0.491 0.611
F96 0.253 0.509 0.889
# SG	P2_1/c (14)
# electronic total energy	-4.293	eV per atom
# formation energy from the elements	-19.31	eV/f.u.

5.
# SbAs3S4F6 PBE-GGA relaxed
data_SbAs3S4F6
_cell_length_a 6.196
_cell_length_b 10.111
_cell_length_c 20.810
_cell_angle_alpha 90.00
_cell_angle_beta 90.00
_cell_angle_gamma 90.00
_symmetry_space_group_name_H-M 'P 1'
_symmetry_Int_Tables_number 1
loop_
_symmetry_equiv_pos_as_xyz
'x,y,z'
loop_
_atom_site_label
_atom_site_fract_x
_atom_site_fract_y
_atom_site_fract_z
Sb1 0.491 0.250 0.663
Sb2 0.509 0.250 0.163
Sb3 0.509 0.750 0.337
Sb4 0.491 0.750 0.837
As1 0.941 0.750 0.510
As2 0.005 0.625 0.171
As3 0.059 0.750 0.010
As4 0.995 0.125 0.829
As5 0.941 0.250 0.990
As6 0.005 0.875 0.171
As7 0.995 0.625 0.671
As8 0.995 0.875 0.671
As9 0.995 0.375 0.829
As10 0.005 0.125 0.329
As11 0.059 0.250 0.490
As12 0.005 0.375 0.329
S1 0.697 0.750 0.134
S2 0.697 0.250 0.462
S3 0.856 0.079 0.924
S4 0.856 0.421 0.924
S5 0.856 0.579 0.576
S6 0.144 0.921 0.076
S7 0.303 0.250 0.962
S8 0.144 0.079 0.424
S9 0.144 0.421 0.424
S10 0.303 0.750 0.634
S11 0.303 0.750 0.538
S12 0.697 0.750 0.038
S13 0.303 0.250 0.866
S14 0.144 0.579 0.076
S15 0.856 0.921 0.576
S16 0.697 0.250 0.366
F1 0.348 0.385 0.614
F2 0.728 0.250 0.603
F3 0.634 0.617 0.787
F4 0.252 0.750 0.777
F5 0.272 0.750 0.397
F6 0.748 0.750 0.277
F7 0.652 0.885 0.386
F8 0.652 0.115 0.114
F9 0.366 0.383 0.213
F10 0.652 0.385 0.114
F11 0.366 0.883 0.287
F12 0.634 0.883 0.787
F13 0.366 0.617 0.287
F14 0.252 0.250 0.723
F15 0.634 0.117 0.713
F16 0.634 0.383 0.713
F17 0.366 0.117 0.213
F18 0.652 0.615 0.386
F19 0.348 0.615 0.886
F20 0.272 0.250 0.103
F21 0.348 0.885 0.886
F22 0.748 0.250 0.223
F23 0.728 0.750 0.897
F24 0.348 0.115 0.614
# SG	Pbcm (57)
# electronic total energy	-4.561	eV per atom
# formation energy from the elements	-22.50	eV/f.u.

6.
# SbAsF8 PBE-GGA relaxed
data_SbAsF8
_cell_length_a 8.359
_cell_length_b 5.737
_cell_length_c 7.009
_cell_angle_alpha 84.64
_cell_angle_beta 90.00
_cell_angle_gamma 90.00
_symmetry_space_group_name_H-M 'P 1'
_symmetry_Int_Tables_number 1
loop_
_symmetry_equiv_pos_as_xyz
'x,y,z'
loop_
_atom_site_label
_atom_site_fract_x
_atom_site_fract_y
_atom_site_fract_z
Sb1 0.250 0.797 0.783
Sb2 0.750 0.203 0.217
As1 0.250 0.499 0.298
As2 0.750 0.501 0.702
F1 0.477 0.770 0.786
F2 0.977 0.230 0.214
F3 0.523 0.230 0.214
F4 0.023 0.770 0.786
F5 0.250 0.018 0.966
F6 0.750 0.982 0.034
F7 0.094 0.702 0.292
F8 0.594 0.298 0.708
F9 0.906 0.298 0.708
F10 0.406 0.702 0.292
F11 0.250 0.536 0.999
F12 0.750 0.464 0.001
F13 0.250 0.536 0.616
F14 0.750 0.464 0.384
F15 0.250 0.022 0.567
F16 0.750 0.978 0.433
# SG	P2_1/m (11)
# electronic total energy	-4.597	eV per atom
# formation energy from the elements	-25.56	eV/f.u.

7.
# SbAs3Se4F6 PBE-GGA relaxed
data_SbAs3Se4F6
_cell_length_a 9.980
_cell_length_b 6.453
_cell_length_c 10.773
_cell_angle_alpha 87.64
_cell_angle_beta 90.00
_cell_angle_gamma 90.00
_symmetry_space_group_name_H-M 'P 1'
_symmetry_Int_Tables_number 1
loop_
_symmetry_equiv_pos_as_xyz
'x,y,z'
loop_
_atom_site_label
_atom_site_fract_x
_atom_site_fract_y
_atom_site_fract_z
Sb1 0.750 0.499 0.833
Sb2 0.250 0.501 0.167
As1 0.250 0.059 0.518
As2 0.124 0.974 0.845
As3 0.624 0.026 0.155
As4 0.750 0.941 0.482
As5 0.876 0.026 0.155
As6 0.376 0.974 0.845
Se1 0.066 0.136 0.653
Se2 0.434 0.136 0.653
Se3 0.750 0.341 0.226
Se4 0.250 0.659 0.774
Se5 0.566 0.864 0.347
Se6 0.750 0.314 0.443
Se7 0.934 0.864 0.347
Se8 0.250 0.686 0.557
F1 0.750 0.277 0.717
F2 0.615 0.352 0.929
F3 0.387 0.361 0.265
F4 0.750 0.718 0.949
F5 0.113 0.361 0.265
F6 0.250 0.282 0.051
F7 0.115 0.648 0.071
F8 0.613 0.639 0.735
F9 0.887 0.639 0.735
F10 0.885 0.352 0.929
F11 0.385 0.648 0.071
F12 0.250 0.723 0.283
# SG	P2_1/m (11)
# electronic total energy	-4.368	eV per atom
# formation energy from the elements	-20.35	eV/f.u.